[1]
# NaScSi2O6, relaxed, DFT PBE-GGA
# ΔH_f (0 K) (meV per atom): -3320
# E_tot (eV per atom): -7.7269
data_NaScSi2O6
_cell_length_a 9.999
_cell_length_b 9.154
_cell_length_c 5.421
_cell_angle_alpha 90.00
_cell_angle_beta 107.61
_cell_angle_gamma 90.00
_space_group_name_H-M_alt 'C 1 2/c 1'
_space_group_IT_number 15
_space_group_name_Hall '-C 2yc'
loop_
_atom_site_label
_atom_site_type_symbol
_atom_site_fract_x
_atom_site_fract_y
_atom_site_fract_z
_atom_site_occupancy
Na1 Na 0.000 0.200 0.250 1
Sc1 Sc 0.000 0.394 0.750 1
Si1 Si 0.210 0.087 0.755 1
O1 O 0.118 0.421 0.146 1
O2 O 0.140 0.247 0.696 1
O3 O 0.151 0.004 0.976 1

[2]
# LiSbF4, relaxed, DFT PBE-GGA
# ΔH_f (0 K) (meV per atom): -2777
# E_tot (eV per atom): -4.7519
data_LiSbF4
_cell_length_a 10.212
_cell_length_b 12.633
_cell_length_c 12.969
_cell_angle_alpha 88.25
_cell_angle_beta 89.46
_cell_angle_gamma 72.77
_space_group_name_H-M_alt 'P 1'
_space_group_IT_number 1
_space_group_name_Hall 'P 1'
loop_
_atom_site_label
_atom_site_type_symbol
_atom_site_fract_x
_atom_site_fract_y
_atom_site_fract_z
_atom_site_occupancy
Li1 Li 0.000 0.000 0.000 1
Li2 Li 0.002 0.198 0.787 1
Li3 Li 0.027 0.682 0.591 1
Li4 Li 0.072 0.657 0.905 1
Li5 Li 0.107 0.219 0.392 1
Li6 Li 0.114 0.229 0.110 1
Li7 Li 0.136 0.402 0.910 1
Li8 Li 0.150 0.928 0.513 1
Li9 Li 0.183 0.761 0.298 1
Li10 Li 0.448 0.740 0.892 1
Li11 Li 0.495 0.392 0.474 1
Li12 Li 0.506 0.924 0.815 1
Li13 Li 0.604 0.553 0.999 1
Li14 Li 0.644 0.060 0.393 1
Li15 Li 0.962 0.789 0.144 1
Li16 Li 0.967 0.532 0.390 1
Sb1 Sb 0.143 0.905 0.771 1
Sb2 Sb 0.169 0.376 0.588 1
Sb3 Sb 0.321 0.811 0.108 1
Sb4 Sb 0.325 0.311 0.276 1
Sb5 Sb 0.332 0.156 0.885 1
Sb6 Sb 0.351 0.660 0.554 1
Sb7 Sb 0.380 0.496 0.845 1
Sb8 Sb 0.421 0.038 0.517 1
Sb9 Sb 0.723 0.899 0.977 1
Sb10 Sb 0.753 0.397 0.342 1
Sb11 Sb 0.793 0.268 0.031 1
Sb12 Sb 0.801 0.773 0.352 1
Sb13 Sb 0.808 0.629 0.768 1
Sb14 Sb 0.816 0.157 0.592 1
Sb15 Sb 0.959 0.534 0.103 1
Sb16 Sb 0.984 0.022 0.269 1
F1 F 0.011 0.133 0.067 1
F2 F 0.012 0.025 0.430 1
F3 F 0.120 0.403 0.437 1
F4 F 0.127 0.053 0.827 1
F5 F 0.128 0.792 0.580 1
F6 F 0.157 0.879 0.943 1
F7 F 0.163 0.255 0.809 1
F8 F 0.168 0.215 0.250 1
F9 F 0.169 0.539 0.569 1
F10 F 0.175 0.737 0.146 1
F11 F 0.202 0.974 0.642 1
F12 F 0.206 0.908 0.242 1
F13 F 0.218 0.203 0.518 1
F14 F 0.218 0.514 0.960 1
F15 F 0.219 0.267 0.997 1
F16 F 0.222 0.432 0.179 1
F17 F 0.229 0.451 0.773 1
F18 F 0.262 0.657 0.828 1
F19 F 0.264 0.685 0.414 1
F20 F 0.284 0.994 0.436 1
F21 F 0.354 0.855 0.790 1
F22 F 0.365 0.346 0.554 1
F23 F 0.393 0.087 0.745 1
F24 F 0.407 0.673 0.022 1
F25 F 0.421 0.270 0.857 1
F26 F 0.424 0.724 0.222 1
F27 F 0.433 0.780 0.526 1
F28 F 0.436 0.229 0.168 1
F29 F 0.446 0.135 0.396 1
F30 F 0.446 0.511 0.700 1
F31 F 0.472 0.383 0.322 1
F32 F 0.496 0.541 0.482 1
F33 F 0.512 0.851 0.962 1
F34 F 0.567 0.933 0.432 1
F35 F 0.581 0.612 0.862 1
F36 F 0.591 0.020 0.890 1
F37 F 0.618 0.399 0.990 1
F38 F 0.650 0.083 0.537 1
F39 F 0.681 0.223 0.693 1
F40 F 0.682 0.316 0.464 1
F41 F 0.708 0.149 0.037 1
F42 F 0.717 0.655 0.336 1
F43 F 0.717 0.729 0.657 1
F44 F 0.725 0.818 0.846 1
F45 F 0.758 0.291 0.209 1
F46 F 0.759 0.563 0.079 1
F47 F 0.768 0.817 0.198 1
F48 F 0.784 0.042 0.302 1
F49 F 0.847 0.458 0.453 1
F50 F 0.860 0.226 0.883 1
F51 F 0.869 0.957 0.915 1
F52 F 0.917 0.032 0.693 1
F53 F 0.918 0.265 0.367 1
F54 F 0.920 0.526 0.665 1
F55 F 0.922 0.468 0.250 1
F56 F 0.924 0.746 0.007 1
F57 F 0.928 0.669 0.470 1
F58 F 0.939 0.244 0.653 1
F59 F 0.952 0.943 0.130 1
F60 F 0.965 0.531 0.933 1
F61 F 0.969 0.670 0.277 1
F62 F 0.971 0.692 0.763 1
F63 F 0.989 0.377 0.073 1
F64 F 0.999 0.863 0.317 1

[3]
# Er5P12Ru19, relaxed, DFT PBE-GGA
# ΔH_f (0 K) (meV per atom): -861
# E_tot (eV per atom): -8.1945
data_Er5P12Ru19
_cell_length_a 12.5101
_cell_length_b 12.5101
_cell_length_c 3.9616
_cell_angle_alpha 90.00
_cell_angle_beta 90.00
_cell_angle_gamma 120.00
_space_group_name_H-M_alt 'P -6 2 m'
_space_group_IT_number 189
_space_group_name_Hall 'P -6 -2'
loop_
_atom_site_label
_atom_site_type_symbol
_atom_site_fract_x
_atom_site_fract_y
_atom_site_fract_z
_atom_site_occupancy
Er1 Er 0.0000 0.8152 0.0000 1
Er2 Er 0.3333 0.6667 0.5000 1
P1 P 0.0000 0.1834 0.5000 1
P2 P 0.0000 0.6278 0.5000 1
P3 P 0.1702 0.4780 0.0000 1
Ru1 Ru 0.0000 0.0000 0.5000 1
Ru2 Ru 0.0000 0.2828 0.0000 1
Ru3 Ru 0.0000 0.4453 0.5000 1
Ru4 Ru 0.1262 0.6350 0.0000 1
Ru5 Ru 0.1842 0.3769 0.5000 1

- Which formula does entry 3 have?
  Er5P12Ru19

- The lowest ΔH_f (0 K) belongs to which entry?
  NaScSi2O6

Copy entry 1 word for word.
# NaScSi2O6, relaxed, DFT PBE-GGA
# ΔH_f (0 K) (meV per atom): -3320
# E_tot (eV per atom): -7.7269
data_NaScSi2O6
_cell_length_a 9.999
_cell_length_b 9.154
_cell_length_c 5.421
_cell_angle_alpha 90.00
_cell_angle_beta 107.61
_cell_angle_gamma 90.00
_space_group_name_H-M_alt 'C 1 2/c 1'
_space_group_IT_number 15
_space_group_name_Hall '-C 2yc'
loop_
_atom_site_label
_atom_site_type_symbol
_atom_site_fract_x
_atom_site_fract_y
_atom_site_fract_z
_atom_site_occupancy
Na1 Na 0.000 0.200 0.250 1
Sc1 Sc 0.000 0.394 0.750 1
Si1 Si 0.210 0.087 0.755 1
O1 O 0.118 0.421 0.146 1
O2 O 0.140 0.247 0.696 1
O3 O 0.151 0.004 0.976 1